Material: Fe3CoBi4As4O24
Method: DFT, PBE+U
State: optimized geometry

Geometry as CIF:
```
data_Fe3CoBi4As4O24
_chemical_formula_sum 'Fe3 Co1 Bi4 As4 O24'
_cell_length_a 7.597
_cell_length_b 7.912
_cell_length_c 9.188
_cell_angle_alpha 107.89
_cell_angle_beta 95.03
_cell_angle_gamma 108.73
_symmetry_space_group_name_H-M 'P 1'
_symmetry_Int_Tables_number 1
loop_
_symmetry_equiv_pos_as_xyz
'x,y,z'
loop_
_atom_site_label
_atom_site_type_symbol
_atom_site_fract_x
_atom_site_fract_y
_atom_site_fract_z
Fe1 Fe 0.000 0.000 0.000
Fe2 Fe 0.254 0.758 0.007
Fe3 Fe 0.746 0.242 0.993
Co1 Co 0.500 0.500 0.000
Bi1 Bi 0.182 0.003 0.377
Bi2 Bi 0.320 0.498 0.614
Bi3 Bi 0.680 0.502 0.386
Bi4 Bi 0.818 0.997 0.623
As1 As 0.197 0.492 0.225
As2 As 0.304 0.999 0.767
As3 As 0.696 0.001 0.233
As4 As 0.803 0.508 0.775
O1 O 0.030 0.291 0.082
O2 O 0.085 0.196 0.556
O3 O 0.086 0.014 0.798
O4 O 0.146 0.506 0.403
O5 O 0.176 0.689 0.192
O6 O 0.238 0.004 0.117
O7 O 0.281 0.494 0.911
O8 O 0.312 0.798 0.805
O9 O 0.356 0.983 0.590
O10 O 0.419 0.483 0.198
O11 O 0.420 0.305 0.444
O12 O 0.469 0.197 0.913
O13 O 0.531 0.803 0.087
O14 O 0.580 0.695 0.556
O15 O 0.581 0.517 0.802
O16 O 0.644 0.017 0.410
O17 O 0.688 0.202 0.195
O18 O 0.719 0.506 0.089
O19 O 0.762 0.996 0.883
O20 O 0.824 0.311 0.808
O21 O 0.854 0.494 0.597
O22 O 0.914 0.986 0.202
O23 O 0.915 0.804 0.444
O24 O 0.970 0.709 0.918
```

Results
Final energy (eV per atom): -5.994
V (Å³ per atom): 13.527

=====

Material: Sr2VSnO6
Method: DFT, PBE+U
State: optimized geometry

Geometry as CIF:
```
data_Sr2VSnO6
_chemical_formula_sum 'Sr2 V1 Sn1 O6'
_cell_length_a 5.674
_cell_length_b 5.674
_cell_length_c 5.674
_cell_angle_alpha 60.00
_cell_angle_beta 60.00
_cell_angle_gamma 60.00
_symmetry_space_group_name_H-M 'P 1'
_symmetry_Int_Tables_number 1
loop_
_symmetry_equiv_pos_as_xyz
'x,y,z'
loop_
_atom_site_label
_atom_site_type_symbol
_atom_site_fract_x
_atom_site_fract_y
_atom_site_fract_z
Sr1 Sr 0.250 0.250 0.250
Sr2 Sr 0.750 0.750 0.750
V1 V 0.000 0.000 0.000
Sn1 Sn 0.500 0.500 0.500
O1 O 0.244 0.244 0.756
O2 O 0.244 0.756 0.244
O3 O 0.244 0.756 0.756
O4 O 0.756 0.244 0.244
O5 O 0.756 0.244 0.756
O6 O 0.756 0.756 0.244
```

Results
Final energy (eV per atom): -6.724
V (Å³ per atom): 12.919

=====

Material: Ti2NiP2O10
Method: DFT, PBE+U
State: optimized geometry

Geometry as CIF:
```
data_Ti2NiP2O10
_chemical_formula_sum 'Ti4 Ni2 P4 O20'
_cell_length_a 7.417
_cell_length_b 7.430
_cell_length_c 7.438
_cell_angle_alpha 90.00
_cell_angle_beta 119.76
_cell_angle_gamma 90.00
_symmetry_space_group_name_H-M 'P 1'
_symmetry_Int_Tables_number 1
loop_
_symmetry_equiv_pos_as_xyz
'x,y,z'
loop_
_atom_site_label
_atom_site_type_symbol
_atom_site_fract_x
_atom_site_fract_y
_atom_site_fract_z
Ti1 Ti 0.234 0.221 0.205
Ti2 Ti 0.234 0.279 0.705
Ti3 Ti 0.766 0.721 0.295
Ti4 Ti 0.766 0.779 0.795
Ni1 Ni 0.500 0.000 0.000
Ni2 Ni 0.500 0.500 0.500
P1 P 0.256 0.622 0.005
P2 P 0.256 0.878 0.505
P3 P 0.744 0.122 0.495
P4 P 0.744 0.378 0.995
O1 O 0.059 0.736 0.928
O2 O 0.059 0.764 0.428
O3 O 0.239 0.508 0.824
O4 O 0.239 0.992 0.324
O5 O 0.268 0.155 0.998
O6 O 0.268 0.345 0.498
O7 O 0.285 0.005 0.685
O8 O 0.285 0.495 0.185
O9 O 0.444 0.750 0.088
O10 O 0.444 0.750 0.588
O11 O 0.556 0.250 0.412
O12 O 0.556 0.250 0.912
O13 O 0.715 0.505 0.815
O14 O 0.715 0.995 0.315
O15 O 0.732 0.655 0.502
O16 O 0.732 0.845 0.002
O17 O 0.761 0.008 0.676
O18 O 0.761 0.492 0.176
O19 O 0.941 0.236 0.572
O20 O 0.941 0.264 0.072
```

Results
Final energy (eV per atom): -7.714
V (Å³ per atom): 11.860

=====

Material: Li9Mn2Co5O16
Method: DFT, PBE+U
State: optimized geometry

Geometry as CIF:
```
data_Li9Mn2Co5O16
_chemical_formula_sum 'Li9 Mn2 Co5 O16'
_cell_length_a 5.910
_cell_length_b 5.913
_cell_length_c 10.101
_cell_angle_alpha 73.72
_cell_angle_beta 89.83
_cell_angle_gamma 60.27
_symmetry_space_group_name_H-M 'P 1'
_symmetry_Int_Tables_number 1
loop_
_symmetry_equiv_pos_as_xyz
'x,y,z'
loop_
_atom_site_label
_atom_site_type_symbol
_atom_site_fract_x
_atom_site_fract_y
_atom_site_fract_z
Li1 Li 0.000 0.000 0.000
Li2 Li 0.000 0.000 0.500
Li3 Li 0.000 0.500 0.000
Li4 Li 0.244 0.010 0.244
Li5 Li 0.262 0.989 0.755
Li6 Li 0.500 0.000 0.000
Li7 Li 0.500 0.000 0.500
Li8 Li 0.738 0.011 0.245
Li9 Li 0.756 0.990 0.756
Mn1 Mn 0.500 0.500 0.000
Mn2 Mn 0.500 0.500 0.500
Co1 Co 0.000 0.500 0.500
Co2 Co 0.243 0.499 0.245
Co3 Co 0.250 0.492 0.757
Co4 Co 0.750 0.508 0.243
Co5 Co 0.757 0.501 0.755
O1 O 0.111 0.272 0.377
O2 O 0.127 0.266 0.860
O3 O 0.156 0.721 0.379
O4 O 0.160 0.724 0.880
O5 O 0.374 0.281 0.125
O6 O 0.377 0.272 0.615
O7 O 0.382 0.734 0.118
O8 O 0.383 0.718 0.624
O9 O 0.617 0.282 0.376
O10 O 0.618 0.266 0.882
O11 O 0.623 0.728 0.385
O12 O 0.626 0.719 0.875
O13 O 0.840 0.276 0.120
O14 O 0.844 0.279 0.621
O15 O 0.873 0.734 0.140
O16 O 0.889 0.728 0.623
```

Results
Final energy (eV per atom): -5.824
V (Å³ per atom): 9.071

=====

Material: Li2FeBO4
Method: DFT, PBE+U
State: optimized geometry

Geometry as CIF:
```
data_Li2FeBO4
_chemical_formula_sum 'Li8 Fe4 B4 O16'
_cell_length_a 6.288
_cell_length_b 5.593
_cell_length_c 10.005
_cell_angle_alpha 90.00
_cell_angle_beta 90.13
_cell_angle_gamma 90.00
_symmetry_space_group_name_H-M 'P 1'
_symmetry_Int_Tables_number 1
loop_
_symmetry_equiv_pos_as_xyz
'x,y,z'
loop_
_atom_site_label
_atom_site_type_symbol
_atom_site_fract_x
_atom_site_fract_y
_atom_site_fract_z
Li1 Li 0.089 0.104 0.301
Li2 Li 0.089 0.396 0.801
Li3 Li 0.263 0.148 0.586
Li4 Li 0.263 0.352 0.086
Li5 Li 0.737 0.648 0.914
Li6 Li 0.737 0.852 0.414
Li7 Li 0.911 0.604 0.199
Li8 Li 0.911 0.896 0.699
Fe1 Fe 0.259 0.649 0.410
Fe2 Fe 0.259 0.851 0.910
Fe3 Fe 0.741 0.149 0.090
Fe4 Fe 0.741 0.351 0.590
B1 B 0.497 0.749 0.659
B2 B 0.497 0.751 0.159
B3 B 0.503 0.249 0.841
B4 B 0.503 0.251 0.341
O1 O 0.014 0.723 0.848
O2 O 0.014 0.777 0.348
O3 O 0.307 0.200 0.905
O4 O 0.307 0.300 0.405
O5 O 0.316 0.709 0.083
O6 O 0.316 0.791 0.583
O7 O 0.497 0.740 0.297
O8 O 0.497 0.760 0.797
O9 O 0.503 0.240 0.203
O10 O 0.503 0.260 0.703
O11 O 0.684 0.209 0.417
O12 O 0.684 0.291 0.917
O13 O 0.693 0.700 0.595
O14 O 0.693 0.800 0.095
O15 O 0.986 0.223 0.652
O16 O 0.986 0.277 0.152
```

Results
Final energy (eV per atom): -6.487
V (Å³ per atom): 10.996

=====

Material: Li4Fe3Sn3Sb2O16
Method: DFT, PBE+U
State: optimized geometry

Geometry as CIF:
```
data_Li4Fe3Sn3Sb2O16
_chemical_formula_sum 'Li8 Fe6 Sn6 Sb4 O32'
_cell_length_a 6.233
_cell_length_b 10.760
_cell_length_c 11.659
_cell_angle_alpha 63.12
_cell_angle_beta 74.99
_cell_angle_gamma 89.92
_symmetry_space_group_name_H-M 'P 1'
_symmetry_Int_Tables_number 1
loop_
_symmetry_equiv_pos_as_xyz
'x,y,z'
loop_
_atom_site_label
_atom_site_type_symbol
_atom_site_fract_x
_atom_site_fract_y
_atom_site_fract_z
Li1 Li 0.000 0.000 0.000
Li2 Li 0.043 0.712 0.917
Li3 Li 0.248 0.260 0.485
Li4 Li 0.305 0.634 0.405
Li5 Li 0.495 0.502 0.003
Li6 Li 0.545 0.214 0.915
Li7 Li 0.746 0.756 0.487
Li8 Li 0.805 0.137 0.405
Fe1 Fe 0.149 0.487 0.217
Fe2 Fe 0.394 0.562 0.720
Fe3 Fe 0.404 0.231 0.215
Fe4 Fe 0.647 0.986 0.217
Fe5 Fe 0.896 0.063 0.718
Fe6 Fe 0.907 0.727 0.219
Sn1 Sn 0.151 0.317 0.718
Sn2 Sn 0.159 0.985 0.217
Sn3 Sn 0.406 0.065 0.718
Sn4 Sn 0.652 0.816 0.720
Sn5 Sn 0.660 0.485 0.219
Sn6 Sn 0.903 0.564 0.719
Sb1 Sb 0.018 0.347 0.996
Sb2 Sb 0.283 0.935 0.486
Sb3 Sb 0.521 0.848 0.997
Sb4 Sb 0.782 0.436 0.485
O1 O 0.055 0.570 0.360
O2 O 0.073 0.559 0.855
O3 O 0.103 0.100 0.815
O4 O 0.109 0.065 0.357
O5 O 0.202 0.534 0.610
O6 O 0.212 0.377 0.090
O7 O 0.221 0.881 0.093
O8 O 0.225 0.048 0.594
O9 O 0.293 0.333 0.857
O10 O 0.342 0.851 0.349
O11 O 0.362 0.842 0.852
O12 O 0.365 0.358 0.303
O13 O 0.459 0.114 0.112
O14 O 0.460 0.290 0.604
O15 O 0.471 0.794 0.598
O16 O 0.472 0.635 0.095
O17 O 0.565 0.064 0.352
O18 O 0.574 0.060 0.855
O19 O 0.601 0.598 0.817
O20 O 0.606 0.565 0.361
O21 O 0.703 0.034 0.609
O22 O 0.706 0.885 0.096
O23 O 0.717 0.541 0.599
O24 O 0.722 0.380 0.093
O25 O 0.798 0.838 0.856
O26 O 0.824 0.346 0.360
O27 O 0.857 0.860 0.302
O28 O 0.860 0.340 0.852
O29 O 0.951 0.618 0.112
O30 O 0.955 0.787 0.602
O31 O 0.957 0.127 0.099
O32 O 0.966 0.295 0.598
```

Results
Final energy (eV per atom): -6.091
V (Å³ per atom): 11.920

=====

Material: FeTeP2O8
Method: DFT, PBE+U
State: optimized geometry

Geometry as CIF:
```
data_FeTeP2O8
_chemical_formula_sum 'Fe4 Te4 P8 O32'
_cell_length_a 8.359
_cell_length_b 8.281
_cell_length_c 10.033
_cell_angle_alpha 94.04
_cell_angle_beta 94.36
_cell_angle_gamma 107.86
_symmetry_space_group_name_H-M 'P 1'
_symmetry_Int_Tables_number 1
loop_
_symmetry_equiv_pos_as_xyz
'x,y,z'
loop_
_atom_site_label
_atom_site_type_symbol
_atom_site_fract_x
_atom_site_fract_y
_atom_site_fract_z
Fe1 Fe 0.110 0.853 0.265
Fe2 Fe 0.890 0.147 0.735
Fe3 Fe 0.610 0.353 0.265
Fe4 Fe 0.390 0.647 0.735
Te1 Te 0.596 0.842 0.202
Te2 Te 0.096 0.342 0.202
Te3 Te 0.404 0.158 0.798
Te4 Te 0.904 0.658 0.798
P1 P 0.311 0.063 0.090
P2 P 0.811 0.563 0.090
P3 P 0.689 0.937 0.910
P4 P 0.189 0.437 0.910
P5 P 0.825 0.076 0.398
P6 P 0.325 0.576 0.398
P7 P 0.175 0.924 0.602
P8 P 0.675 0.424 0.602
O1 O 0.743 0.990 0.064
O2 O 0.243 0.490 0.064
O3 O 0.257 0.010 0.936
O4 O 0.757 0.510 0.936
O5 O 0.468 0.220 0.102
O6 O 0.968 0.720 0.102
O7 O 0.532 0.780 0.898
O8 O 0.032 0.280 0.898
O9 O 0.478 0.726 0.374
O10 O 0.978 0.226 0.374
O11 O 0.522 0.274 0.626
O12 O 0.022 0.774 0.626
O13 O 0.189 0.939 0.454
O14 O 0.689 0.439 0.454
O15 O 0.811 0.061 0.546
O16 O 0.311 0.561 0.546
O17 O 0.161 0.095 0.161
O18 O 0.661 0.595 0.161
O19 O 0.340 0.911 0.161
O20 O 0.840 0.411 0.161
O21 O 0.660 0.089 0.839
O22 O 0.160 0.589 0.839
O23 O 0.839 0.905 0.839
O24 O 0.339 0.405 0.839
O25 O 0.826 0.900 0.319
O26 O 0.326 0.400 0.320
O27 O 0.653 0.080 0.319
O28 O 0.153 0.580 0.319
O29 O 0.174 0.100 0.681
O30 O 0.674 0.600 0.680
O31 O 0.347 0.920 0.681
O32 O 0.847 0.420 0.681
```

Results
Final energy (eV per atom): -6.728
V (Å³ per atom): 13.665

=====

Material: LiCoC2O6
Method: DFT, PBE+U
State: optimized geometry

Geometry as CIF:
```
data_LiCoC2O6
_chemical_formula_sum 'Li4 Co4 C8 O24'
_cell_length_a 5.701
_cell_length_b 6.346
_cell_length_c 15.409
_cell_angle_alpha 86.57
_cell_angle_beta 82.33
_cell_angle_gamma 63.36
_symmetry_space_group_name_H-M 'P 1'
_symmetry_Int_Tables_number 1
loop_
_symmetry_equiv_pos_as_xyz
'x,y,z'
loop_
_atom_site_label
_atom_site_type_symbol
_atom_site_fract_x
_atom_site_fract_y
_atom_site_fract_z
Li1 Li 0.000 0.000 0.000
Li2 Li 0.001 0.000 0.501
Li3 Li 0.152 0.696 0.250
Li4 Li 0.153 0.694 0.750
Co1 Co 0.441 0.132 0.832
Co2 Co 0.441 0.134 0.332
Co3 Co 0.726 0.562 0.082
Co4 Co 0.728 0.561 0.582
C1 C 0.099 0.527 0.940
C2 C 0.103 0.528 0.442
C3 C 0.535 0.985 0.478
C4 C 0.535 0.987 0.978
C5 C 0.672 0.709 0.728
C6 C 0.672 0.710 0.228
C7 C 0.780 0.168 0.191
C8 C 0.782 0.166 0.691
O1 O 0.170 0.646 0.982
O2 O 0.173 0.646 0.484
O3 O 0.209 0.452 0.858
O4 O 0.215 0.454 0.360
O5 O 0.321 0.031 0.943
O6 O 0.321 0.032 0.442
O7 O 0.503 0.666 0.192
O8 O 0.504 0.663 0.693
O9 O 0.531 0.227 0.220
O10 O 0.533 0.224 0.720
O11 O 0.569 0.885 0.553
O12 O 0.572 0.887 0.053
O13 O 0.608 0.808 0.803
O14 O 0.609 0.810 0.303
O15 O 0.693 0.058 0.933
O16 O 0.695 0.055 0.434
O17 O 0.817 0.242 0.109
O18 O 0.821 0.240 0.609
O19 O 0.902 0.638 0.184
O20 O 0.902 0.639 0.684
O21 O 0.908 0.470 0.970
O22 O 0.912 0.470 0.470
O23 O 0.970 0.049 0.233
O24 O 0.971 0.048 0.734
```

Results
Final energy (eV per atom): -6.869
V (Å³ per atom): 12.347

=====

Material: KMnAs3F18
Method: DFT, PBE+U
State: optimized geometry

Geometry as CIF:
```
data_KMnAs3F18
_chemical_formula_sum 'K4 Mn4 As12 F72'
_cell_length_a 10.841
_cell_length_b 14.428
_cell_length_c 9.771
_cell_angle_alpha 90.00
_cell_angle_beta 90.00
_cell_angle_gamma 90.00
_symmetry_space_group_name_H-M 'P 1'
_symmetry_Int_Tables_number 1
loop_
_symmetry_equiv_pos_as_xyz
'x,y,z'
loop_
_atom_site_label
_atom_site_type_symbol
_atom_site_fract_x
_atom_site_fract_y
_atom_site_fract_z
K1 K 0.081 0.250 0.025
K2 K 0.419 0.750 0.525
K3 K 0.581 0.250 0.475
K4 K 0.919 0.750 0.975
Mn1 Mn 0.000 0.000 0.500
Mn2 Mn 0.000 0.500 0.500
Mn3 Mn 0.500 0.000 0.000
Mn4 Mn 0.500 0.500 0.000
As1 As 0.028 0.750 0.382
As2 As 0.200 0.553 0.811
As3 As 0.200 0.947 0.811
As4 As 0.300 0.053 0.311
As5 As 0.300 0.447 0.311
As6 As 0.472 0.250 0.882
As7 As 0.528 0.750 0.118
As8 As 0.700 0.553 0.689
As9 As 0.700 0.947 0.689
As10 As 0.800 0.053 0.189
As11 As 0.800 0.447 0.189
As12 As 0.972 0.250 0.618
F1 F 0.019 0.250 0.446
F2 F 0.029 0.624 0.385
F3 F 0.029 0.876 0.385
F4 F 0.077 0.557 0.683
F5 F 0.077 0.750 0.211
F6 F 0.077 0.943 0.683
F7 F 0.120 0.637 0.908
F8 F 0.120 0.863 0.908
F9 F 0.123 0.035 0.900
F10 F 0.123 0.465 0.900
F11 F 0.125 0.250 0.675
F12 F 0.176 0.052 0.437
F13 F 0.176 0.448 0.437
F14 F 0.183 0.750 0.435
F15 F 0.221 0.529 0.213
F16 F 0.221 0.971 0.213
F17 F 0.224 0.143 0.223
F18 F 0.224 0.357 0.223
F19 F 0.276 0.643 0.723
F20 F 0.276 0.857 0.723
F21 F 0.279 0.029 0.713
F22 F 0.279 0.471 0.713
F23 F 0.317 0.250 0.935
F24 F 0.324 0.552 0.937
F25 F 0.324 0.948 0.937
F26 F 0.375 0.750 0.175
F27 F 0.377 0.535 0.400
F28 F 0.377 0.965 0.400
F29 F 0.380 0.137 0.408
F30 F 0.380 0.363 0.408
F31 F 0.423 0.057 0.183
F32 F 0.423 0.250 0.711
F33 F 0.423 0.443 0.183
F34 F 0.471 0.124 0.885
F35 F 0.471 0.376 0.885
F36 F 0.481 0.750 0.946
F37 F 0.519 0.250 0.054
F38 F 0.529 0.624 0.115
F39 F 0.529 0.876 0.115
F40 F 0.577 0.557 0.817
F41 F 0.577 0.750 0.289
F42 F 0.577 0.943 0.817
F43 F 0.620 0.637 0.592
F44 F 0.620 0.863 0.592
F45 F 0.623 0.035 0.600
F46 F 0.623 0.465 0.600
F47 F 0.625 0.250 0.825
F48 F 0.676 0.052 0.063
F49 F 0.676 0.448 0.063
F50 F 0.683 0.750 0.065
F51 F 0.721 0.529 0.287
F52 F 0.721 0.971 0.287
F53 F 0.724 0.143 0.277
F54 F 0.724 0.357 0.277
F55 F 0.776 0.643 0.777
F56 F 0.776 0.857 0.777
F57 F 0.779 0.029 0.787
F58 F 0.779 0.471 0.787
F59 F 0.817 0.250 0.565
F60 F 0.824 0.552 0.563
F61 F 0.824 0.948 0.563
F62 F 0.875 0.750 0.325
F63 F 0.877 0.535 0.100
F64 F 0.877 0.965 0.100
F65 F 0.880 0.137 0.092
F66 F 0.880 0.363 0.092
F67 F 0.923 0.057 0.317
F68 F 0.923 0.250 0.789
F69 F 0.923 0.443 0.317
F70 F 0.971 0.124 0.615
F71 F 0.971 0.376 0.615
F72 F 0.981 0.750 0.554
```

Results
Final energy (eV per atom): -4.619
V (Å³ per atom): 16.612